[1]
VASP calculation (r2SCAN) on a geometry-optimized Ca3Ac structure.

Structure (POSCAR):
```
Ca3Ac
1.0
0.000 4.438 4.438
4.438 0.000 4.438
4.438 4.438 0.000
Ca Ac
3 1
Cartesian
0.000 0.000 0.000 Ca
2.219 2.219 2.219 Ca
6.657 6.657 6.657 Ca
4.438 4.438 4.438 Ac
```

Values from the calculation:
Uncorrected energy (eV per atom): -22.39
E_form (eV per atom): 0.05
Volume (Å³ per cell): 174.8
Calculated density (g cm⁻³): 3.30



[2]
VASP calculation (r2SCAN) on a geometry-optimized CaAcGa2 structure.

Structure (POSCAR):
```
CaAcGa2
1.0
0.000 3.816 3.816
3.816 0.000 3.816
3.816 3.816 0.000
Ca Ac Ga
1 1 2
Cartesian
0.000 0.000 0.000 Ca
3.816 3.816 3.816 Ac
1.908 1.908 1.908 Ga
5.723 5.723 5.723 Ga
```

Values from the calculation:
Uncorrected energy (eV per atom): -25.13
E_form (eV per atom): -0.49
Volume (Å³ per cell): 111.1
Calculated density (g cm⁻³): 6.08



[3]
VASP calculation (r2SCAN) on a geometry-optimized CaAcZn2 structure.

Structure (POSCAR):
```
CaAcZn2
1.0
2.687 1.552 4.395
-2.687 1.552 4.395
0.000 -3.103 4.395
Ca Ac Zn
1 1 2
Cartesian
0.000 0.000 0.000 Ca
0.000 0.000 6.593 Ac
0.000 0.000 3.299 Zn
0.000 0.000 9.887 Zn
```

Values from the calculation:
Uncorrected energy (eV per atom): -23.64
E_form (eV per atom): -0.27
Volume (Å³ per cell): 110.0
Calculated density (g cm⁻³): 6.01



[4]
VASP calculation (r2SCAN) on a geometry-optimized Ac2CdGa structure.

Structure (POSCAR):
```
Ac2CdGa
1.0
0.000 4.002 4.002
4.002 0.000 4.002
4.002 4.002 0.000
Ac Cd Ga
2 1 1
Cartesian
2.001 2.001 2.001 Ac
6.002 6.002 6.002 Ac
0.000 0.000 0.000 Cd
4.002 4.002 4.002 Ga
```

Values from the calculation:
Uncorrected energy (eV per atom): -42.61
E_form (eV per atom): -0.40
Volume (Å³ per cell): 128.1
Calculated density (g cm⁻³): 8.24



[5]
VASP calculation (r2SCAN) on a geometry-optimized Ac2CdGe structure.

Structure (POSCAR):
```
Ac2CdGe
1.0
0.000 3.975 3.975
3.975 0.000 3.975
3.975 3.975 0.000
Ac Cd Ge
2 1 1
Cartesian
1.987 1.987 1.987 Ac
5.962 5.962 5.962 Ac
0.000 0.000 0.000 Cd
3.975 3.975 3.975 Ge
```

Values from the calculation:
Uncorrected energy (eV per atom): -43.28
E_form (eV per atom): -0.46
Volume (Å³ per cell): 125.6
Calculated density (g cm⁻³): 8.45



[6]
VASP calculation (r2SCAN) on a geometry-optimized AcLaCd2 structure.

Structure (POSCAR):
```
AcLaCd2
1.0
0.000 4.003 4.003
4.003 0.000 4.003
4.003 4.003 0.000
Ac La Cd
1 1 2
Cartesian
0.000 0.000 0.000 Ac
4.003 4.003 4.003 La
2.001 2.001 2.001 Cd
6.004 6.004 6.004 Cd
```

Values from the calculation:
Uncorrected energy (eV per atom): -35.00
E_form (eV per atom): -0.35
Volume (Å³ per cell): 128.3
Calculated density (g cm⁻³): 7.65



[7]
VASP calculation (r2SCAN) on a geometry-optimized Ac2CdSn structure.

Structure (POSCAR):
```
Ac2CdSn
1.0
0.000 4.081 4.081
4.081 0.000 4.081
4.081 4.081 0.000
Ac Cd Sn
2 1 1
Cartesian
2.040 2.040 2.040 Ac
6.121 6.121 6.121 Ac
0.000 0.000 0.000 Cd
4.081 4.081 4.081 Sn
```

Values from the calculation:
Uncorrected energy (eV per atom): -46.07
E_form (eV per atom): -0.54
Volume (Å³ per cell): 135.9
Calculated density (g cm⁻³): 8.37



[8]
VASP calculation (r2SCAN) on a geometry-optimized Ac2TlCd structure.

Structure (POSCAR):
```
Ac2TlCd
1.0
0.000 4.104 4.104
4.104 0.000 4.104
4.104 4.104 0.000
Ac Tl Cd
2 1 1
Cartesian
2.052 2.052 2.052 Ac
6.156 6.156 6.156 Ac
0.000 0.000 0.000 Tl
4.104 4.104 4.104 Cd
```

Values from the calculation:
Uncorrected energy (eV per atom): -53.05
E_form (eV per atom): -0.41
Volume (Å³ per cell): 138.3
Calculated density (g cm⁻³): 9.26



[9]
VASP calculation (r2SCAN) on a geometry-optimized AcZn2Cd structure.

Structure (POSCAR):
```
AcZn2Cd
1.0
0.000 3.617 3.617
3.617 0.000 3.617
3.617 3.617 0.000
Ac Zn Cd
1 2 1
Cartesian
0.000 0.000 0.000 Ac
1.808 1.808 1.808 Zn
5.425 5.425 5.425 Zn
3.617 3.617 3.617 Cd
```

Values from the calculation:
Uncorrected energy (eV per atom): -26.87
E_form (eV per atom): -0.23
Volume (Å³ per cell): 94.6
Calculated density (g cm⁻³): 8.25



[10]
VASP calculation (r2SCAN) on a geometry-optimized AcCl3 structure.

Structure (POSCAR):
```
AcCl3
1.0
7.696 0.000 0.000
-3.848 6.665 0.000
0.000 0.000 4.569
Ac Cl
2 6
Cartesian
0.000 4.443 1.142 Ac
3.848 2.222 3.427 Ac
-0.839 2.596 3.427 Cl
-1.180 6.093 3.427 Cl
1.829 2.025 1.142 Cl
2.019 4.640 3.427 Cl
5.028 0.572 1.142 Cl
4.687 4.068 1.142 Cl
```

Values from the calculation:
Uncorrected energy (eV per atom): -24.56
E_form (eV per atom): -2.79
Volume (Å³ per cell): 234.3
Calculated density (g cm⁻³): 4.72



[11]
VASP calculation (r2SCAN) on a geometry-optimized AcCu3 structure.

Structure (POSCAR):
```
AcCu3
1.0
6.633 0.000 0.000
-3.316 5.744 0.000
0.000 0.000 4.247
Ac Cu
2 6
Cartesian
0.000 3.829 1.062 Ac
3.316 1.915 3.185 Ac
0.000 1.417 3.185 Cu
-2.089 5.036 3.185 Cu
1.227 0.708 1.062 Cu
2.089 5.036 3.185 Cu
5.406 0.708 1.062 Cu
3.316 4.327 1.062 Cu
```

Values from the calculation:
Uncorrected energy (eV per atom): -25.35
E_form (eV per atom): -0.06
Volume (Å³ per cell): 161.8
Calculated density (g cm⁻³): 8.57



[12]
VASP calculation (r2SCAN) on a geometry-optimized Ac2CuRu structure.

Structure (POSCAR):
```
Ac2CuRu
1.0
0.000 3.721 3.721
3.721 0.000 3.721
3.721 3.721 0.000
Ac Cu Ru
2 1 1
Cartesian
1.860 1.860 1.860 Ac
5.581 5.581 5.581 Ac
0.000 0.000 0.000 Cu
3.721 3.721 3.721 Ru
```

Values from the calculation:
Uncorrected energy (eV per atom): -43.40
E_form (eV per atom): -0.02
Volume (Å³ per cell): 103.0
Calculated density (g cm⁻³): 9.97



- The lowest E_form belongs to which entry?
  AcCl3



- Which value of volume does entry 4 give?
  128.1 Å³ per cell



- What is the E_form in the second record?
  -0.49 eV per atom